Version 1
CrCu2O6 GGA+U optimized geometry; M_tot = 2.90 μB/cell
1.0
2.835 -4.689 0.000
2.835 4.689 0.000
0.000 0.000 8.963
Cr Cu O
2 4 12
Cartesian
2.835 4.408 6.722
2.835 -4.408 2.241
1.418 2.345 0.000
1.418 2.345 4.481
1.418 -2.345 0.000
1.418 -2.345 4.481
2.835 3.392 5.264
2.835 3.392 8.180
1.301 0.663 6.722
1.301 -0.663 2.241
2.835 1.460 0.699
2.835 1.460 3.783
2.835 -1.460 5.180
2.835 -1.460 8.264
4.370 0.663 6.722
4.370 -0.663 2.241
2.835 -3.392 0.783
2.835 -3.392 3.699

Version 2
CrCu2O6 GGA+U optimized geometry; M_tot = 3.91 μB/cell
1.0
5.807 0.000 0.000
0.000 5.142 0.000
-4.151 0.000 14.332
Cr Cu O
4 8 24
Cartesian
-0.666 0.246 5.390
-2.742 2.325 12.556
4.398 2.816 1.775
2.322 4.896 8.941
0.000 0.000 0.000
-2.076 2.571 7.166
1.352 1.185 2.570
-0.724 1.386 9.736
2.904 0.000 0.000
0.828 2.571 7.166
2.380 3.756 4.596
0.304 3.957 11.762
-2.059 0.583 8.568
0.017 1.988 1.402
-0.464 0.421 3.804
-2.539 2.150 10.970
-2.726 0.702 13.298
-0.650 1.869 6.132
-0.657 2.795 8.408
1.418 4.918 1.242
1.283 2.825 3.487
-0.793 4.888 10.653
-1.478 3.173 13.147
0.598 4.539 5.981
1.058 0.602 8.351
3.134 1.968 1.185
2.449 0.254 3.679
0.373 2.317 10.845
0.238 0.224 13.090
2.313 2.347 5.924
2.306 3.273 8.200
4.382 4.440 1.034
4.195 2.992 3.362
2.120 4.721 10.528
1.639 3.154 12.930
3.715 4.559 5.764

Relative stability in kJ/mol of atoms, measured from the most stable structure: version 1 3.1; version 2 0.0

Version 1
Computed, not measured: DyCrTeO6 after structural relaxation at the GGA+U level of DFT.

The structure in POSCAR format:
```
DyCrTeO6
1.0
5.184 0.000 0.000
-2.592 4.489 0.000
0.000 0.000 9.803
Dy Cr Te O
2 2 2 12
Cartesian
0.000 0.000 0.000
0.000 0.000 4.901
0.000 2.993 2.451
2.592 1.496 7.352
0.000 2.993 7.352
2.592 1.496 2.451
-0.892 1.639 8.437
-1.619 2.897 6.268
0.892 1.639 6.268
-0.726 4.443 8.437
1.866 0.047 3.535
0.973 1.592 1.366
1.619 2.897 8.437
0.726 4.443 6.268
3.318 0.047 1.366
1.700 2.850 3.535
4.211 1.592 3.535
3.484 2.850 1.366
```

Version 2
DyCrTeO6 GGA+U optimized geometry; M_tot = 6.00 μB/cell
1.0
5.406 0.000 0.000
-2.703 4.682 0.000
0.000 0.000 8.654
Dy Cr Te O
2 2 2 12
Cartesian
0.000 3.121 2.164
2.703 1.561 6.491
0.000 0.000 0.000
0.000 0.000 4.327
0.000 3.121 6.491
2.703 1.561 2.164
-0.724 1.656 7.580
-1.631 3.227 5.402
0.724 1.656 5.402
-0.907 4.481 7.580
1.796 0.201 3.253
1.072 1.455 1.074
1.631 3.227 7.580
0.907 4.481 5.402
3.610 0.201 1.074
1.980 3.026 3.253
4.334 1.455 3.253
3.427 3.026 1.074

Relative stability in kJ/mol of atoms, measured from the most stable structure: version 1 0.0; version 2 24.9

Version 1
Er2MgCr2O8 GGA+U optimized geometry; M_tot = 4.00 μB/cell
1.0
3.177 -5.123 0.000
3.177 5.123 0.000
-3.174 0.000 5.281
Er Mg Cr O
2 1 2 8
Cartesian
0.000 0.000 0.000
1.590 -2.253 2.640
1.590 5.040 2.640
1.590 2.313 2.640
3.177 0.030 0.000
0.515 3.589 3.480
0.315 1.465 1.759
-1.145 0.966 4.243
2.665 3.589 1.801
1.965 -0.894 0.929
2.866 1.465 3.522
4.326 0.966 1.038
1.216 -0.894 4.352

Version 2
Er2MgCr2O8 GGA+U optimized geometry; M_tot = 4.00 μB/cell
1.0
4.736 -3.555 0.000
4.736 3.555 0.000
-3.967 0.000 5.040
Er Mg Cr O
2 1 2 8
Cartesian
1.782 0.000 0.378
3.722 0.000 4.661
2.752 1.969 2.520
0.048 0.235 3.195
5.457 0.235 1.845
-0.965 1.408 4.048
-0.411 -0.147 1.453
1.792 0.358 3.354
-0.762 -1.237 4.021
3.712 0.358 1.686
6.469 1.408 0.992
6.266 -1.237 1.019
5.916 -0.147 3.586

Version 3
Er2MgCr2O8 GGA+U optimized geometry; M_tot = 4.00 μB/cell
1.0
5.008 0.000 0.000
-0.944 5.026 0.000
-2.047 -2.480 7.182
Er Mg Cr O
2 1 2 8
Cartesian
0.000 0.000 0.000
-0.468 2.516 2.483
2.480 0.027 4.956
2.031 2.514 0.168
2.505 0.004 2.133
-1.114 -0.826 6.082
0.679 3.727 0.743
1.085 1.189 1.621
1.707 -1.035 3.486
1.076 0.902 6.076
3.388 1.304 0.739
2.982 3.841 1.623
3.293 1.051 3.481

Relative stability in kJ/mol of atoms, measured from the most stable structure: version 1 3.2; version 2 2.3; version 3 0.0

Version 1
ErCrTeO6 GGA+U optimized geometry; M_tot = 6.00 μB/cell
1.0
5.190 0.000 0.000
-2.595 4.494 0.000
0.000 0.000 9.696
Er Cr Te O
2 2 2 12
Cartesian
0.000 0.000 0.000
0.000 0.000 4.848
0.000 2.996 2.424
2.595 1.498 7.272
0.000 2.996 7.272
2.595 1.498 2.424
-0.888 1.632 8.354
-1.626 2.910 6.191
0.888 1.632 6.191
-0.738 4.447 8.354
1.857 0.047 3.505
0.969 1.585 1.343
1.626 2.910 8.354
0.738 4.447 6.191
3.333 0.047 1.343
1.707 2.863 3.505
4.220 1.585 3.505
3.483 2.863 1.343

Version 2
ErCrTeO6 GGA+U optimized geometry; M_tot = 6.00 μB/cell
1.0
5.385 0.000 0.000
-2.692 4.663 0.000
0.000 0.000 8.623
Er Cr Te O
2 2 2 12
Cartesian
0.000 3.109 2.156
2.692 1.554 6.467
0.000 0.000 0.000
0.000 0.000 4.312
0.000 3.109 6.467
2.692 1.554 2.156
-0.740 1.646 7.554
-1.637 3.199 5.381
0.740 1.646 5.381
-0.897 4.482 7.554
1.795 0.182 3.243
1.055 1.464 1.069
1.637 3.199 7.554
0.897 4.482 5.381
3.590 0.182 1.069
1.952 3.018 3.243
4.330 1.464 3.243
3.433 3.018 1.069

Relative stability in kJ/mol of atoms, measured from the most stable structure: version 1 0.0; version 2 23.2

Version 1
EuHfCrSnO6 GGA+U optimized geometry; M_tot = 16.15 μB/cell
1.0
8.656 0.000 0.000
0.000 8.675 0.000
0.000 0.000 8.782
Eu Hf Cr Sn O
4 4 4 4 24
Cartesian
0.000 0.000 0.000
0.000 0.000 4.391
0.000 4.338 0.000
4.328 4.338 4.391
2.174 2.218 6.665
2.174 6.458 2.117
6.482 2.218 2.117
6.482 6.458 6.665
2.203 2.161 2.177
2.203 6.514 6.605
6.453 2.161 6.605
6.453 6.514 2.177
0.000 4.338 4.391
4.328 0.000 0.000
4.328 0.000 4.391
4.328 4.338 0.000
0.112 1.786 6.331
0.112 6.889 2.450
1.749 2.471 8.663
1.749 6.205 0.118
1.867 4.248 6.236
1.867 4.427 2.545
2.423 0.043 6.985
2.423 8.633 1.797
2.549 1.848 4.450
2.549 6.827 4.332
4.276 2.588 6.860
4.276 6.087 1.921
4.380 2.588 1.921
4.380 6.087 6.860
6.107 1.848 4.332
6.107 6.827 4.450
6.233 0.043 1.797
6.233 8.633 6.985
6.789 4.248 2.545
6.789 4.427 6.236
6.907 2.471 0.118
6.907 6.205 8.663
8.544 1.786 2.450
8.544 6.889 6.331

Version 2
EuHfCrSnO6 GGA+U optimized geometry; M_tot = 9.00 μB/cell
1.0
0.000 4.023 4.023
4.023 0.000 4.023
4.023 4.023 0.000
Eu Hf Cr Sn O
1 1 1 1 6
Cartesian
0.000 0.000 0.000
6.035 6.035 6.035
2.012 2.012 2.012
4.023 4.023 4.023
2.012 2.012 0.048
2.012 0.048 2.012
3.975 2.012 2.012
0.048 2.012 2.012
2.012 3.975 2.012
2.012 2.012 3.975

Relative stability in kJ/mol of atoms, measured from the most stable structure: version 1 39.5; version 2 0.0

Version 1
LiEu2Cr2O8 GGA+U optimized geometry; M_tot = 14.99 μB/cell
1.0
6.129 0.000 0.000
-2.823 5.573 0.000
-1.655 -2.782 5.368
Li Eu Cr O
1 2 2 8
Cartesian
0.000 0.000 0.000
-1.403 2.794 0.206
0.005 0.014 3.084
3.069 0.011 0.250
1.661 2.799 2.802
1.598 -0.328 1.117
-1.170 1.359 4.720
0.253 2.354 1.966
1.182 -1.328 4.718
1.887 1.449 3.923
4.538 0.349 1.121
4.257 -1.428 3.926
3.066 3.247 1.962

Version 2
LiEu2Cr2O8 GGA+U optimized geometry; M_tot = 15.04 μB/cell
1.0
4.847 -3.742 0.000
4.847 3.742 0.000
-4.054 0.000 5.031
Li Eu Cr O
1 2 2 8
Cartesian
0.000 0.000 0.000
0.949 -1.948 1.990
4.690 -1.948 3.041
-1.181 -1.816 4.397
6.820 -1.816 0.634
3.690 2.106 0.661
1.248 0.531 1.407
1.949 2.106 4.370
-0.441 -0.535 3.532
4.391 0.531 3.623
3.258 -1.959 1.045
6.080 -0.535 1.499
2.381 -1.959 3.985

Relative stability in kJ/mol of atoms, measured from the most stable structure: version 1 0.0; version 2 0.6